[1]
# SrBr2O6 | the Materials Project database | r²SCAN | relaxed
data_SrBr2O6
_space_group_name_H-M_alt 'C 1 c 1'
_space_group_IT_number 9
_space_group_name_Hall 'C -2yc'
_cell_length_a 7.591
_cell_length_b 11.744
_cell_length_c 7.427
_cell_angle_alpha 90.00
_cell_angle_beta 120.20
_cell_angle_gamma 90.00
loop_
_atom_site_label
_atom_site_type_symbol
_atom_site_fract_x
_atom_site_fract_y
_atom_site_fract_z
Sr1 Sr 0.000 0.124 0.000
Br1 Br 0.032 0.437 0.971
Br2 Br 0.092 0.186 0.545
O1 O 0.026 0.082 0.368
O2 O 0.148 0.113 0.758
O3 O 0.166 0.466 0.427
O4 O 0.200 0.333 0.103
O5 O 0.320 0.224 0.587
O6 O 0.389 0.124 0.239
# Energy in Ha/atom: -0.3433
# Formation enthalpy at 0 K in meV/atom: -730
# Total magnetic moment in μB per cell: 0.00

[2]
# MgCd5 | the Materials Project database | r²SCAN | relaxed
data_MgCd5
_space_group_name_H-M_alt 'P -6 2 m'
_space_group_IT_number 189
_space_group_name_Hall 'P -6 -2'
_cell_length_a 5.1834
_cell_length_b 5.1834
_cell_length_c 5.5644
_cell_angle_alpha 90.00
_cell_angle_beta 90.00
_cell_angle_gamma 120.00
loop_
_atom_site_label
_atom_site_type_symbol
_atom_site_fract_x
_atom_site_fract_y
_atom_site_fract_z
Mg1 Mg 0.0000 0.0000 0.0000
Cd1 Cd 0.0000 0.3318 0.5000
Cd2 Cd 0.3333 0.6667 0.0000
# Energy in Ha/atom: -0.6422
# Formation enthalpy at 0 K in meV/atom: -25
# Total magnetic moment in μB per cell: 0.00